Record 1
! PBE with a Hubbard U Li4V3P8O29, optimized geometry; values from VASP
&SYSTEM
  ibrav = 0, nat = 88, ntyp = 4
/
ATOMIC_SPECIES
O 16.00 O.upf
Li 6.94 Li.upf
P 30.97 P.upf
V 50.94 V.upf
CELL_PARAMETERS angstrom
9.761 0.000 0.000
-4.879 8.464 0.000
-0.016 -0.019 14.076
ATOMIC_POSITIONS crystal
O 0.001 0.206 0.251
O 0.259 0.918 0.663
O 0.083 0.743 0.162
O 0.002 0.795 0.749
O 0.184 0.517 0.824
O 0.754 0.993 0.568
O 0.810 0.489 0.166
O 0.657 0.742 0.667
O 0.916 0.261 0.832
O 0.226 0.211 0.932
O 0.662 0.916 0.159
O 0.998 0.207 0.073
O 0.677 0.190 0.167
O 0.187 0.672 0.331
O 0.657 0.475 0.678
O 0.086 0.466 0.169
O 0.085 0.342 0.664
O 0.786 0.777 0.073
O 0.815 0.340 0.676
O 0.914 0.531 0.828
O 0.346 0.086 0.832
O 0.257 0.338 0.161
O 0.247 0.005 0.434
O 0.381 0.477 0.677
O 0.618 0.523 0.321
O 0.746 0.085 0.339
O 0.332 0.515 0.324
O 0.795 0.001 0.749
O 0.619 0.090 0.828
O 0.214 0.006 0.078
O 0.531 0.618 0.172
O 0.332 0.814 0.826
O 0.332 0.667 0.975
O 0.651 0.331 0.022
O 0.793 0.795 0.252
O 0.096 0.620 0.678
O 0.006 0.242 0.429
O 0.524 0.905 0.680
O 0.469 0.383 0.829
O 0.205 0.206 0.751
O 0.337 0.256 0.339
O 0.487 0.815 0.330
O 0.786 0.015 0.931
O 0.481 0.102 0.322
O 0.204 0.992 0.257
O 0.509 0.325 0.173
O 0.009 0.766 0.567
O 0.753 0.762 0.430
O 0.988 0.774 0.931
O 0.515 0.179 0.672
O 0.661 0.334 0.526
O 0.335 0.655 0.475
O 0.481 0.665 0.825
O 0.905 0.382 0.322
O 0.916 0.663 0.341
O 0.742 0.657 0.832
O 0.382 0.914 0.171
O 0.239 0.239 0.571
Li 0.224 0.319 0.446
Li 0.086 0.774 0.441
Li 0.768 0.097 0.058
Li 0.005 0.004 0.992
Li 0.331 0.233 0.056
Li 0.321 0.093 0.562
Li 0.686 0.913 0.443
Li 0.904 0.668 0.057
P 0.666 0.334 0.128
P 0.914 0.688 0.841
P 0.321 0.090 0.343
P 0.314 0.227 0.842
P 0.692 0.775 0.157
P 0.084 0.309 0.157
P 0.332 0.662 0.870
P 0.683 0.912 0.658
P 0.229 0.318 0.660
P 0.336 0.668 0.370
P 0.225 0.915 0.160
P 0.663 0.331 0.631
P 0.770 0.685 0.343
P 0.778 0.089 0.841
P 0.916 0.231 0.343
P 0.089 0.772 0.658
V 0.000 0.565 0.251
V 0.570 0.570 0.750
V 0.436 0.436 0.248
V 0.432 0.994 0.756
V 0.001 0.434 0.748
V 0.568 0.002 0.248
! energy above the most stable polymorph in this dataset	10	meV/atom
! total magnetic moment	0.0227	μB/atom
! DFT total energy	-7.043	eV per atom
! total energy after the MP2020 corrections	-7.61	eV per atom
! E_form	-113.2	eV per formula unit
! calculated density	2549	kg/m3



Record 2
! PBE with a Hubbard U Li12VNi3P4C4O28, optimized geometry; values from VASP
&SYSTEM
  ibrav = 0, nat = 52, ntyp = 6
/
ATOMIC_SPECIES
O 16.00 O.upf
V 50.94 V.upf
Li 6.94 Li.upf
C 12.01 C.upf
Ni 58.69 Ni.upf
P 30.97 P.upf
CELL_PARAMETERS angstrom
-3.688 -2.971 4.435
6.575 -4.579 2.400
3.131 6.493 6.954
ATOMIC_POSITIONS crystal
O 0.683 0.308 0.413
O 0.000 0.419 0.084
O 0.500 0.107 0.682
O 0.317 0.308 0.413
O 0.313 0.310 0.913
O 0.500 0.841 0.243
O 0.000 0.161 0.757
O 0.500 0.441 0.205
O 0.000 0.886 0.320
O 0.000 0.150 0.253
O 0.187 0.692 0.588
O 0.000 0.566 0.293
O 0.000 0.075 0.974
O 0.813 0.692 0.588
O 0.687 0.310 0.913
O 0.500 0.926 0.526
O 0.500 0.439 0.706
O 0.000 0.894 0.818
O 0.500 0.582 0.418
O 0.000 0.420 0.587
O 0.500 0.582 0.917
O 0.187 0.691 0.085
O 0.500 0.841 0.743
O 0.500 0.925 0.026
O 0.500 0.107 0.181
O 0.000 0.072 0.472
O 0.813 0.691 0.085
O 0.000 0.563 0.796
V 0.000 0.329 0.396
Li 0.000 0.901 0.615
Li 0.771 0.721 0.376
Li 0.726 0.280 0.629
Li 0.500 0.100 0.384
Li 0.772 0.722 0.876
Li 0.274 0.280 0.629
Li 0.272 0.279 0.121
Li 0.500 0.099 0.884
Li 0.229 0.721 0.376
Li 0.728 0.279 0.121
Li 0.228 0.722 0.876
Li 0.000 0.901 0.116
C 0.000 0.041 0.850
C 0.500 0.960 0.149
C 0.000 0.034 0.349
C 0.500 0.960 0.649
Ni 0.000 0.334 0.896
Ni 0.500 0.668 0.104
Ni 0.500 0.668 0.604
P 0.000 0.587 0.137
P 0.000 0.587 0.640
P 0.500 0.415 0.362
P 0.500 0.415 0.863
! total magnetic moment	0.1731	μB/atom
! DFT total energy	-6.514	eV per atom
! total energy after the MP2020 corrections	-7.06	eV per atom
! E_form	-120.9	eV per formula unit
! calculated density	2854	kg/m3



Record 3
! PBE with a Hubbard U LiFeF4, optimized geometry; values from VASP
&SYSTEM
  ibrav = 0, nat = 12, ntyp = 3
/
ATOMIC_SPECIES
F 19.00 F.upf
Li 6.94 Li.upf
Fe 55.84 Fe.upf
CELL_PARAMETERS angstrom
2.616 5.837 0.000
-2.616 5.837 0.000
0.000 0.167 5.466
ATOMIC_POSITIONS crystal
F 0.065 0.756 0.476
F 0.224 0.342 0.801
F 0.776 0.658 0.199
F 0.935 0.244 0.524
F 0.342 0.224 0.301
F 0.756 0.065 0.976
F 0.658 0.776 0.699
F 0.244 0.935 0.024
Li 0.947 0.053 0.250
Li 0.053 0.947 0.750
Fe 0.000 0.500 0.500
Fe 0.500 0.000 0.000
! energy above the most stable polymorph in this dataset	0	meV/atom
! DFT total energy	-5.147	eV per atom
! total energy after the MP2020 corrections	-5.83	eV per atom
! E_form	-16.9	eV per formula unit
! calculated density	2761	kg/m3



Record 4
! PBE with a Hubbard U Li4Ni7O14, optimized geometry; values from VASP
&SYSTEM
  ibrav = 0, nat = 25, ntyp = 3
/
ATOMIC_SPECIES
O 16.00 O.upf
Ni 58.69 Ni.upf
Li 6.94 Li.upf
CELL_PARAMETERS angstrom
4.920 0.000 0.000
0.702 6.394 0.000
1.411 0.141 7.522
ATOMIC_POSITIONS crystal
O 0.912 0.734 0.445
O 0.014 0.456 0.174
O 0.226 0.977 0.272
O 0.306 0.885 0.596
O 0.548 0.394 0.681
O 0.986 0.544 0.826
O 0.161 0.167 0.880
O 0.839 0.833 0.120
O 0.694 0.115 0.404
O 0.374 0.689 0.993
O 0.452 0.606 0.319
O 0.774 0.023 0.728
O 0.088 0.266 0.555
O 0.626 0.311 0.007
Ni 0.570 0.862 0.356
Ni 0.430 0.138 0.644
Ni 0.287 0.424 0.931
Ni 0.140 0.712 0.219
Ni 0.860 0.288 0.781
Ni 0.000 0.000 0.500
Ni 0.713 0.576 0.069
Li 0.072 0.857 0.859
Li 0.928 0.143 0.141
Li 0.220 0.574 0.573
Li 0.780 0.426 0.427
! total magnetic moment	0.1600	μB/atom
! DFT total energy	-4.829	eV per atom
! total energy after the MP2020 corrections	-5.93	eV per atom
! E_form	-30.8	eV per formula unit
! calculated density	4650	kg/m3



Record 5
! PBE with a Hubbard U KBaFeO3, optimized geometry; values from VASP
&SYSTEM
  ibrav = 0, nat = 24, ntyp = 4
/
ATOMIC_SPECIES
Fe 55.84 Fe.upf
K 39.10 K.upf
O 16.00 O.upf
Ba 137.33 Ba.upf
CELL_PARAMETERS angstrom
0.029 2.966 -5.864
-1.558 -6.275 1.178
-12.413 3.392 1.653
ATOMIC_POSITIONS crystal
Fe 0.730 0.270 0.164
Fe 0.270 0.730 0.836
Fe 0.230 0.770 0.336
Fe 0.770 0.230 0.664
K 0.046 0.954 0.141
K 0.954 0.046 0.859
K 0.454 0.546 0.641
K 0.546 0.454 0.359
O 0.171 0.829 0.952
O 0.671 0.329 0.548
O 0.522 0.978 0.250
O 0.424 0.576 0.877
O 0.478 0.022 0.750
O 0.978 0.522 0.750
O 0.924 0.076 0.623
O 0.329 0.671 0.452
O 0.576 0.424 0.123
O 0.076 0.924 0.377
O 0.022 0.478 0.250
O 0.829 0.171 0.048
Ba 0.357 0.643 0.082
Ba 0.643 0.357 0.918
Ba 0.857 0.143 0.418
Ba 0.143 0.857 0.582
! total magnetic moment	0.8335	μB/atom
! DFT total energy	-5.838	eV per atom
! total energy after the MP2020 corrections	-6.56	eV per atom
! E_form	-13.0	eV per formula unit
! calculated density	4122	kg/m3



Record 6
! PBE with a Hubbard U Fe4O3F5, optimized geometry; values from VASP
&SYSTEM
  ibrav = 0, nat = 24, ntyp = 3
/
ATOMIC_SPECIES
O 16.00 O.upf
Fe 55.84 Fe.upf
F 19.00 F.upf
CELL_PARAMETERS angstrom
-2.393 -0.157 -5.694
0.875 -4.752 -0.237
-8.759 -1.963 3.735
ATOMIC_POSITIONS crystal
O 0.759 0.190 0.595
O 0.500 0.336 0.833
O 0.002 0.682 0.661
O 0.500 0.336 0.333
O 0.241 0.190 0.095
O 0.998 0.682 0.161
Fe 0.504 0.038 0.489
Fe 0.749 0.470 0.734
Fe 0.009 0.972 0.026
Fe 0.252 0.503 0.752
Fe 0.991 0.972 0.526
Fe 0.251 0.470 0.234
Fe 0.496 0.038 0.989
Fe 0.748 0.503 0.252
F 0.235 0.816 0.409
F 0.000 0.291 0.352
F 0.000 0.291 0.852
F 0.764 0.201 0.103
F 0.495 0.704 0.646
F 0.505 0.704 0.146
F 0.765 0.796 0.400
F 0.765 0.816 0.909
F 0.235 0.796 0.900
F 0.236 0.201 0.603
! energy above the most stable polymorph in this dataset	59	meV/atom
! total magnetic moment	1.5834	μB/atom
! DFT total energy	-5.878	eV per atom
! total energy after the MP2020 corrections	-6.99	eV per atom
! E_form	-25.6	eV per formula unit
! calculated density	4188	kg/m3



Record 7
! PBE with a Hubbard U SrEuDyCrO6, optimized geometry; values from VASP
&SYSTEM
  ibrav = 0, nat = 10, ntyp = 5
/
ATOMIC_SPECIES
O 16.00 O.upf
Cr 52.00 Cr.upf
Sr 87.62 Sr.upf
Eu 151.96 Eu.upf
Dy 162.50 Dy.upf
CELL_PARAMETERS angstrom
0.000 -4.064 -4.064
4.064 0.000 -4.064
4.064 -4.064 0.000
ATOMIC_POSITIONS crystal
O 0.767 0.233 0.233
O 0.233 0.767 0.233
O 0.233 0.767 0.767
O 0.767 0.767 0.233
O 0.767 0.233 0.767
O 0.233 0.233 0.767
Cr 0.000 0.000 0.000
Sr 0.250 0.250 0.250
Eu 0.750 0.750 0.750
Dy 0.500 0.500 0.500
! total magnetic moment	0.8000	μB/atom
! DFT total energy	-7.893	eV per atom
! total energy after the MP2020 corrections	-8.50	eV per atom
! E_form	-29.2	eV per formula unit
! calculated density	6802	kg/m3



Record 8
! PBE with a Hubbard U LiTiMn3O8, optimized geometry; values from VASP
&SYSTEM
  ibrav = 0, nat = 39, ntyp = 4
/
ATOMIC_SPECIES
Mn 54.94 Mn.upf
O 16.00 O.upf
Ti 47.87 Ti.upf
Li 6.94 Li.upf
CELL_PARAMETERS angstrom
-1.529 -4.531 3.574
1.171 -1.104 -5.829
13.982 -1.710 3.160
ATOMIC_POSITIONS crystal
Mn 0.671 0.844 0.832
Mn 0.341 0.673 0.665
Mn 0.843 0.183 0.164
Mn 0.000 0.500 0.500
Mn 0.000 0.000 0.000
Mn 0.659 0.327 0.335
Mn 0.500 0.500 0.500
Mn 0.157 0.817 0.836
Mn 0.329 0.156 0.168
O 0.349 0.634 0.413
O 0.492 0.959 0.747
O 0.201 0.385 0.577
O 0.651 0.366 0.587
O 0.521 0.548 0.745
O 0.362 0.215 0.412
O 0.638 0.785 0.588
O 0.299 0.114 0.924
O 0.976 0.947 0.758
O 0.024 0.053 0.242
O 0.508 0.041 0.253
O 0.036 0.546 0.741
O 0.821 0.709 0.919
O 0.799 0.615 0.423
O 0.179 0.291 0.081
O 0.964 0.454 0.259
O 0.629 0.286 0.090
O 0.371 0.714 0.910
O 0.479 0.452 0.255
O 0.189 0.876 0.079
O 0.701 0.886 0.076
O 0.141 0.788 0.590
O 0.811 0.124 0.921
O 0.859 0.212 0.410
Ti 0.500 0.000 0.000
Ti 0.827 0.650 0.668
Ti 0.173 0.350 0.332
Li 0.500 0.500 0.000
Li 0.666 0.838 0.335
Li 0.334 0.162 0.665
! total magnetic moment	0.7693	μB/atom
! DFT total energy	-7.359	eV per atom
! total energy after the MP2020 corrections	-8.17	eV per atom
! E_form	-29.3	eV per formula unit
! calculated density	3809	kg/m3



Record 9
! PBE with a Hubbard U Ba2MgFeMoO6, optimized geometry; values from VASP
&SYSTEM
  ibrav = 0, nat = 11, ntyp = 5
/
ATOMIC_SPECIES
O 16.00 O.upf
Mo 95.94 Mo.upf
Mg 24.30 Mg.upf
Fe 55.84 Fe.upf
Ba 137.33 Ba.upf
CELL_PARAMETERS angstrom
0.974 -5.471 -2.499
2.084 -2.321 5.895
-5.873 2.872 -1.153
ATOMIC_POSITIONS crystal
O 0.240 0.758 0.030
O 0.780 0.221 0.022
O 0.790 0.758 0.030
O 0.241 0.208 0.482
O 0.779 0.761 0.558
O 0.242 0.221 0.021
Mo 0.418 0.580 0.837
Mg 0.601 0.401 0.202
Fe 0.003 0.998 0.005
Ba 0.807 0.192 0.616
Ba 0.223 0.779 0.446
! energy above the most stable polymorph in this dataset	222	meV/atom
! total magnetic moment	0.7273	μB/atom
! DFT total energy	-6.240	eV per atom
! total energy after the MP2020 corrections	-7.11	eV per atom
! E_form	-23.8	eV per formula unit
! calculated density	5002	kg/m3



Record 10
! PBE with a Hubbard U CoRhO3, optimized geometry; values from VASP
&SYSTEM
  ibrav = 0, nat = 5, ntyp = 3
/
ATOMIC_SPECIES
Co 58.93 Co.upf
O 16.00 O.upf
Rh 102.91 Rh.upf
CELL_PARAMETERS angstrom
-3.144 -2.091 -0.951
1.562 -3.128 1.714
-1.685 1.003 3.364
ATOMIC_POSITIONS crystal
Co 0.000 0.000 0.000
O 0.500 0.000 0.500
O 0.000 0.500 0.500
O 0.500 0.500 0.000
Rh 0.500 0.500 0.500
! total magnetic moment	0.8478	μB/atom
! DFT total energy	-5.572	eV per atom
! total energy after the MP2020 corrections	-6.31	eV per atom
! E_form	-2.2	eV per formula unit
! calculated density	5902	kg/m3



Record 11
! PBE with a Hubbard U SrWO2, optimized geometry; values from VASP
&SYSTEM
  ibrav = 0, nat = 16, ntyp = 3
/
ATOMIC_SPECIES
O 16.00 O.upf
Sr 87.62 Sr.upf
W 183.84 W.upf
CELL_PARAMETERS angstrom
6.565 0.000 0.000
0.000 6.565 0.000
-3.282 -3.282 6.156
ATOMIC_POSITIONS crystal
O 0.955 0.167 0.335
O 0.833 0.045 0.665
O 0.417 0.129 0.835
O 0.417 0.705 0.835
O 0.379 0.167 0.335
O 0.833 0.621 0.665
O 0.871 0.583 0.165
O 0.295 0.583 0.165
Sr 0.125 0.375 0.750
Sr 0.625 0.875 0.250
Sr 0.625 0.375 0.750
Sr 0.625 0.375 0.250
W 0.125 0.875 0.250
W 0.125 0.875 0.750
W 0.125 0.375 0.250
W 0.625 0.875 0.750
! total magnetic moment	0.8748	μB/atom
! DFT total energy	-6.378	eV per atom
! total energy after the MP2020 corrections	-7.83	eV per atom
! E_form	-6.8	eV per formula unit
! calculated density	7597	kg/m3



Record 12
! PBE with a Hubbard U NaPrYFeO6, optimized geometry; values from VASP
&SYSTEM
  ibrav = 0, nat = 10, ntyp = 5
/
ATOMIC_SPECIES
O 16.00 O.upf
Na 22.99 Na.upf
Y 88.91 Y.upf
Pr 140.91 Pr.upf
Fe 55.84 Fe.upf
CELL_PARAMETERS angstrom
4.173 3.514 -1.613
-0.886 5.619 -0.083
2.550 3.339 3.837
ATOMIC_POSITIONS crystal
O 0.231 0.769 0.769
O 0.769 0.769 0.231
O 0.231 0.769 0.231
O 0.769 0.231 0.231
O 0.231 0.231 0.769
O 0.769 0.231 0.769
Na 0.750 0.750 0.750
Y 0.500 0.500 0.500
Pr 0.250 0.250 0.250
Fe 0.000 0.000 0.000
! total magnetic moment	0.3000	μB/atom
! DFT total energy	-6.882	eV per atom
! total energy after the MP2020 corrections	-7.52	eV per atom
! E_form	-24.5	eV per formula unit
! calculated density	5160	kg/m3



Number 9 is which compound? Ba2MgFeMoO6



The highest total energy after the MP2020 corrections belongs to which entry? LiFeF4



What is the formula in the first record? Li4V3P8O29